# Sr3W | the Materials Project | PBE | optimized geometry
data_Sr3W
_chemical_formula_sum 'Sr3 W1'
_symmetry_space_group_name_H-M 'P 1'
_symmetry_Int_Tables_number 1
_cell_length_a 5.8385
_cell_length_b 5.8385
_cell_length_c 5.8385
_cell_angle_alpha 60.00
_cell_angle_beta 60.00
_cell_angle_gamma 60.00
loop_
_symmetry_equiv_pos_as_xyz
'x,y,z'
loop_
_atom_site_label
_atom_site_type_symbol
_atom_site_fract_x
_atom_site_fract_y
_atom_site_fract_z
Sr1 Sr 0.0000 0.0000 0.0000
Sr2 Sr 0.2500 0.2500 0.2500
Sr3 Sr 0.7500 0.7500 0.7500
W1 W 0.5000 0.5000 0.5000
# Total energy (eV per atom): -3.428
# M_tot (μB/atom): 0.68
# Formation enthalpy at 0 K (meV per atom): 1078